#i
LiTiP5O15, optimized geometry, DFT PBE-GGA; crystal system = monoclinic; M_tot = 0.00 μB/cell
1.0
-10.1591 0.7336 9.2314
3.4655 -6.9702 4.3677
6.4088 4.7650 6.6741
O P Ti Li
60 20 4 4
direct
0.3802 0.5016 0.6127
0.1198 0.5016 0.1127
0.4879 0.0919 0.3472
0.6198 0.4962 0.8918
0.4594 0.0667 0.8635
0.6493 0.7017 0.1818
0.2511 0.5325 0.2741
0.8802 0.4962 0.3918
0.7682 0.1229 0.8526
0.3567 0.2992 0.3086
0.5406 0.9333 0.1365
0.8567 0.7008 0.1914
0.9879 0.9081 0.1528
0.4771 0.2879 0.9937
0.2308 0.9371 0.3952
0.8446 0.8972 0.9889
0.9216 0.4436 0.6609
0.6433 0.7008 0.6914
0.3446 0.1028 0.5111
0.6198 0.4984 0.3873
0.8340 0.8855 0.4608
0.7318 0.1229 0.3526
0.1660 0.1145 0.5392
0.5252 0.7083 0.5044
0.7511 0.4675 0.2259
0.7308 0.0629 0.1048
0.7692 0.0629 0.6048
0.3802 0.5038 0.1082
0.5229 0.7121 0.0063
0.2682 0.8771 0.6474
0.2692 0.9371 0.8952
0.4748 0.2917 0.4956
0.0784 0.5564 0.3391
0.1493 0.2983 0.3182
0.0121 0.0919 0.8472
0.3340 0.1145 0.0392
0.1433 0.2992 0.8086
0.5121 0.9081 0.6528
0.0406 0.0667 0.3635
0.4216 0.5564 0.8391
0.9748 0.7083 0.0044
0.0252 0.2917 0.9956
0.8507 0.7017 0.6818
0.9771 0.7121 0.5063
0.6554 0.8972 0.4889
0.3507 0.2983 0.8182
0.2318 0.8771 0.1474
0.1554 0.1028 0.0111
0.4237 0.5571 0.3363
0.0229 0.2879 0.4937
0.9237 0.4429 0.1637
0.5784 0.4436 0.1609
0.9594 0.9333 0.6365
0.6660 0.8855 0.9608
0.1198 0.5038 0.6082
0.7489 0.4675 0.7259
0.5763 0.4429 0.6637
0.0763 0.5571 0.8363
0.2489 0.5325 0.7741
0.8802 0.4984 0.8873
0.7508 0.0167 0.9781
0.3587 0.4759 0.2536
0.1435 0.4733 0.2569
0.1413 0.4759 0.7536
0.0866 0.1779 0.4316
0.8587 0.5241 0.2464
0.9134 0.8221 0.5684
0.9248 0.8166 0.0839
0.2492 0.9833 0.0219
0.6413 0.5241 0.7464
0.5752 0.8166 0.5839
0.2508 0.9833 0.5219
0.0752 0.1834 0.9161
0.8565 0.5267 0.7431
0.3565 0.4733 0.7569
0.6435 0.5267 0.2431
0.4134 0.1779 0.9316
0.7492 0.0167 0.4781
0.5866 0.8221 0.0684
0.4248 0.1834 0.4161
0.0000 0.5000 0.0000
0.0000 0.5000 0.5000
0.5000 0.5000 0.5000
0.5000 0.5000 0.0000
0.3733 0.9296 0.7670
0.8733 0.0704 0.7330
0.6267 0.0704 0.2330
0.1267 0.9296 0.2670

#ii
LiTiP5O15, optimized geometry, DFT PBE-GGA; crystal system = monoclinic; M_tot = 0.00 μB/cell
1.0
-5.4225 7.5007 2.6375
-2.5750 -0.2550 -4.5687
-10.3100 -7.9935 1.5360
O P Li Ti
30 10 2 2
direct
0.3400 0.3484 0.6045
0.6600 0.3484 0.1045
0.1119 0.2773 0.7007
0.5972 0.7124 0.8419
0.3350 0.6567 0.8961
0.5010 0.7483 0.5702
0.8531 0.7157 0.0531
0.4990 0.7483 0.0702
0.1219 0.7406 0.9851
0.8664 0.3082 0.4355
0.9389 0.0507 0.8399
0.1336 0.2763 0.5075
0.4151 0.4839 0.7546
0.8848 0.7584 0.2894
0.4028 0.7124 0.3419
0.5121 0.2415 0.4418
0.8664 0.2763 0.0075
0.0580 0.9761 0.1481
0.4053 0.2686 0.1596
0.5849 0.4839 0.2546
0.6650 0.6567 0.3961
0.8781 0.7406 0.4851
0.9420 0.9761 0.6481
0.1152 0.7584 0.7894
0.4879 0.2415 0.9418
0.5947 0.2686 0.6596
0.8881 0.2773 0.2007
0.1336 0.3082 0.9355
0.1469 0.7157 0.5531
0.0611 0.0507 0.3399
0.4852 0.5132 0.8629
0.5148 0.5132 0.3629
0.1864 0.4205 0.5851
0.8202 0.6000 0.4072
0.4851 0.4753 0.6454
0.5149 0.4753 0.1454
0.9836 0.0147 0.2441
0.0164 0.0147 0.7441
0.8136 0.4205 0.0851
0.1798 0.6000 0.9072
0.5839 0.0526 0.5707
0.4161 0.0526 0.0707
0.0079 0.0101 0.4929
0.9921 0.0101 0.9929

Stability, lowest: #ii

#i
LiTiPO5, optimized geometry, DFT PBE-GGA; crystal system = triclinic; M_tot = 0.00 μB/cell
1.0
6.9854 0.0000 0.0000
-3.3169 6.4742 0.0000
-0.1954 -0.1695 7.9706
O Li P Ti
20 4 4 4
direct
0.9202 0.3481 0.7603
0.0798 0.6519 0.2397
0.0554 0.0922 0.3139
0.5538 0.0931 0.8190
0.4256 0.3506 0.2665
0.7400 0.4162 0.0111
0.2674 0.2569 0.8328
0.1429 0.8668 0.9774
0.9446 0.9078 0.6861
0.4462 0.9069 0.1810
0.6518 0.8856 0.4793
0.2600 0.5838 0.9889
0.5744 0.6494 0.7335
0.3482 0.1144 0.5207
0.7326 0.7431 0.1672
0.7678 0.5995 0.4862
0.8571 0.1332 0.0226
0.2355 0.7412 0.6696
0.7645 0.2588 0.3304
0.2322 0.4005 0.5138
0.3071 0.8152 0.4331
0.7907 0.7065 0.9326
0.6929 0.1848 0.5669
0.2093 0.2935 0.0674
0.2324 0.7511 0.0931
0.7676 0.2489 0.9069
0.7335 0.7595 0.5927
0.2665 0.2405 0.4073
0.2480 0.0210 0.7640
0.7520 0.9790 0.2360
0.7542 0.4815 0.2627
0.2458 0.5185 0.7373

#ii
LiTiPO5, optimized geometry, DFT PBE-GGA; crystal system = orthorhombic; M_tot = 0.00 μB/cell
1.0
6.4423 0.0000 0.0000
0.0000 7.3400 0.0000
0.0000 0.0000 7.4960
Ti O Li P
4 20 4 4
direct
0.7500 0.2808 0.8332
0.2500 0.7192 0.1668
0.2500 0.7808 0.6668
0.7500 0.2192 0.3332
0.4434 0.2502 0.3714
0.2500 0.5013 0.7069
0.9434 0.7498 0.6286
0.7500 0.9879 0.4525
0.7500 0.4987 0.2931
0.4434 0.2498 0.8714
0.5566 0.7498 0.6286
0.5566 0.7502 0.1286
0.7500 0.5121 0.9525
0.2500 0.8477 0.8881
0.0566 0.2498 0.8714
0.7500 0.3477 0.6119
0.2500 0.6523 0.3881
0.9434 0.7502 0.1286
0.0566 0.2502 0.3714
0.7500 0.1523 0.1119
0.7500 0.0013 0.7931
0.2500 0.4879 0.0475
0.2500 0.9987 0.2069
0.2500 0.0121 0.5475
0.5000 0.0000 0.0000
0.0000 0.0000 0.0000
0.5000 0.5000 0.5000
0.0000 0.5000 0.5000
0.2500 0.1255 0.3738
0.2500 0.3745 0.8738
0.7500 0.8745 0.6262
0.7500 0.6255 0.1262

Stability, lowest: #i

#i
LiTi2Zn2P2O10, optimized geometry, DFT PBE-GGA; crystal system = triclinic; M_tot = 2.91 μB/cell
1.0
1.4140 2.5910 4.8944
5.5073 -4.7456 -1.8813
5.4286 5.4179 2.5643
P O Li Ti Zn
2 10 1 2 2
direct
0.4614 0.7337 0.1558
0.5529 0.2545 0.8416
0.5667 0.4304 0.7342
0.5117 0.2521 0.4111
0.4607 0.7407 0.5949
0.6503 0.1105 0.6806
0.4679 0.5593 0.2520
0.1401 0.6554 0.1821
0.8575 0.3472 0.8277
0.1552 0.1359 0.1449
0.3772 0.8692 0.3195
0.8449 0.8434 0.8469
0.9930 0.6340 0.6841
0.5142 0.4945 0.5082
0.5259 0.0106 0.4794
0.3785 0.2597 0.2564
0.4962 0.8037 0.8067

#ii
LiTi2Zn2P2O10, optimized geometry, DFT PBE-GGA; crystal system = triclinic; M_tot = 2.98 μB/cell
1.0
3.9117 -0.0242 4.1504
-3.4070 6.3843 -0.0121
0.0779 -0.0021 8.2526
O P Zn Li Ti
10 2 2 1 2
direct
0.4739 0.7524 0.6009
0.8460 0.3591 0.8085
0.4039 0.4040 0.8152
0.5054 0.0848 0.7691
0.8373 0.8467 0.8432
0.4851 0.5804 0.2543
0.4802 0.2548 0.3962
0.1116 0.1573 0.1990
0.1302 0.6638 0.2077
0.5119 0.9362 0.2416
0.4909 0.7544 0.1458
0.4577 0.2475 0.9044
0.4767 0.7700 0.8270
0.8062 0.2568 0.0545
0.1208 0.2696 0.4155
0.5115 0.5065 0.4976
0.4598 0.0080 0.5289

Stability, lowest: #i